# Al3Ge | the Materials Project database | PBE-GGA | relaxed
data_Al3Ge
_chemical_formula_sum 'Al3 Ge1'
_cell_length_a 5.012
_cell_length_b 5.012
_cell_length_c 5.012
_cell_angle_alpha 131.76
_cell_angle_beta 131.76
_cell_angle_gamma 70.61
_symmetry_space_group_name_H-M 'P 1'
_symmetry_Int_Tables_number 1
loop_
_symmetry_equiv_pos_as_xyz
'x,y,z'
loop_
_atom_site_label
_atom_site_type_symbol
_atom_site_fract_x
_atom_site_fract_y
_atom_site_fract_z
Al1 Al 0.000 0.000 0.000
Al2 Al 0.250 0.750 0.500
Al3 Al 0.750 0.250 0.500
Ge1 Ge 0.500 0.500 0.000
# Calculated volume   17.159 Å³ per atom
# SG   I4/mmm (139)
# Crystal system   tetragonal
# ΔE_f   0.097 eV per atom